Record 1
This record from the Materials Project database describes Na30Ca20Ta4Si9S27O144 after structural relaxation. The functional is PBE.

abc: 18.6427 9.3409 23.4287
angles: 89.98 90.21 120.08
Atoms (fractional coordinates):
O1 0.1448 0.4644 0.7443
S1 0.3408 0.6554 0.5870
O2 0.1715 0.9009 0.8593
O3 0.0011 0.8088 0.6966
Ca1 0.3378 0.3392 0.4944
O4 0.6081 0.0024 0.3141
Si1 0.4900 0.3341 0.5866
Na1 0.6605 0.3467 0.5852
O5 0.4974 0.1546 0.5992
O6 0.1590 0.4619 0.0787
O7 0.7432 0.1566 0.2499
Na2 0.6565 0.6706 0.1595
O8 0.9347 0.5353 0.7423
Si2 0.1521 0.0006 0.2545
O9 0.6723 0.4591 0.3678
O10 0.2380 0.3017 0.7451
O11 0.2421 0.1601 0.2466
O12 0.2766 0.8791 0.4701
O13 0.4961 0.8413 0.0994
S2 0.1694 0.9783 0.9143
S3 0.3414 0.0284 0.0876
Ca2 0.3391 0.3354 0.9947
O14 0.7720 0.8901 0.3614
Na3 0.9862 0.3065 0.4313
O15 0.5880 0.1679 0.0956
O16 0.2768 0.6721 0.9693
O17 0.4948 0.2113 0.3035
O18 0.2427 0.1503 0.9168
S4 0.4995 0.7068 0.7491
O19 0.4043 0.0077 0.4167
S5 0.5158 0.6637 0.4150
Ca3 0.8448 0.3455 0.9925
Na4 0.3209 0.3355 0.8277
S6 0.1729 0.0256 0.5873
O20 0.9039 0.7969 0.2971
O21 0.7676 0.6753 0.5805
Na5 0.3087 0.3040 0.3234
O22 0.7279 0.3422 0.1330
Ca4 0.1719 0.6789 0.3094
O23 0.5544 0.6480 0.3615
O24 0.6630 0.4617 0.0779
O25 0.6629 0.8807 0.9707
O26 0.5867 0.0083 0.5953
O27 0.7026 0.1305 0.5326
S7 0.5000 0.2934 0.2488
Ca5 0.0018 0.9940 0.8497
O28 0.0842 0.4831 0.5848
O29 0.8477 0.5513 0.2413
O30 0.3573 0.1223 0.0338
O31 0.7627 0.6531 0.8684
O32 0.8192 0.5081 0.9182
O33 0.4987 0.1852 0.2000
O34 0.6745 0.8818 0.8672
S8 0.1664 0.3643 0.4162
Ca6 0.3344 0.3412 0.6780
Na6 0.6691 0.9716 0.0898
S9 0.8573 0.9993 0.7476
O35 0.9465 0.5398 0.1492
O36 0.5831 0.1619 0.7003
Na7 0.1605 0.6209 0.6591
O37 0.8227 0.5362 0.6343
O38 0.2708 0.6529 0.8654
S10 0.3538 0.9993 0.7452
O39 0.0840 0.7172 0.7459
O40 0.7406 0.1411 0.9191
O41 0.7366 0.3277 0.4198
O42 0.3569 0.5899 0.5343
O43 0.0046 0.8383 0.1020
Na8 0.4751 0.9672 0.5014
O44 0.2705 0.8881 0.3660
O45 0.4002 0.7907 0.2985
O46 0.9412 0.3423 0.6426
O47 0.9037 0.0082 0.4149
O48 0.4283 0.5359 0.7452
Na9 0.0010 0.9663 0.9994
S11 0.0167 0.6628 0.4149
O49 0.2697 0.8539 0.7428
S12 0.0014 0.7089 0.7468
S13 0.3164 0.9740 0.4183
O50 0.0841 0.1635 0.6996
S14 0.5157 0.3678 0.9140
O51 0.0859 0.1985 0.4169
S15 0.6670 0.9691 0.9172
O52 0.9258 0.0179 0.1014
Si3 0.1506 0.2971 0.7530
Na10 0.1649 0.0301 0.4057
O53 0.3207 0.5004 0.9182
O54 0.1440 0.8197 0.2422
O55 0.4048 0.8010 0.9161
S16 0.3175 0.6589 0.9175
O56 0.5860 0.1975 0.4180
Na11 0.8206 0.3485 0.8221
O57 0.9156 0.8166 0.5975
Ca7 0.6694 0.6621 0.8071
S17 0.8395 0.6496 0.5863
Si4 0.9871 0.6411 0.0914
O58 0.1618 0.8600 0.5820
O59 0.4069 0.8249 0.1959
O60 0.3494 0.1525 0.7395
Ca8 0.6608 0.6646 0.0202
Si5 0.4862 0.6448 0.0872
Na12 0.1807 0.0140 0.7515
O61 0.2222 0.1098 0.6382
Na13 0.8136 0.3280 0.3267
O62 0.8630 0.1379 0.0278
Na14 0.0027 0.6339 0.2373
O63 0.8988 0.0071 0.8020
Na15 0.1643 0.2955 0.9074
O64 0.3260 0.5486 0.6362
O65 0.0700 0.6796 0.4642
O66 0.9090 0.9880 0.6991
O67 0.4334 0.5110 0.4206
O68 0.6616 0.8629 0.5802
O69 0.4402 0.3020 0.5265
O70 0.4453 0.3481 0.6430
O71 0.7734 0.8739 0.4654
O72 0.2739 0.6964 0.2415
Na16 0.6641 0.3006 0.9048
O73 0.0077 0.8130 0.4149
O74 0.9045 0.8207 0.1938
Ca9 0.1650 0.6596 0.5208
O75 0.7654 0.8296 0.0794
O76 0.4381 0.5794 0.0263
O77 0.9397 0.2974 0.5262
Na17 0.6637 0.0295 0.4057
S18 0.6662 0.3614 0.4190
O78 0.7752 0.6752 0.9719
Na18 0.5009 0.3727 0.7346
O79 0.9291 0.3369 0.9167
O80 0.6644 0.4459 0.4720
S19 0.8569 0.7166 0.2454
O81 0.4332 0.3570 0.9191
Ca10 0.8301 0.3267 0.1809
O82 0.5549 0.4616 0.8609
O83 0.0848 0.0004 0.5955
Na19 0.4760 0.9846 0.0036
O84 0.5790 0.4540 0.2438
O85 0.4939 0.7781 0.8037
Ca11 0.8320 0.3325 0.6818
O86 0.0886 0.1717 0.0939
Si6 0.6510 0.3022 0.7533
O87 0.6487 0.8234 0.2423
Ta1 0.5034 0.9974 0.1525
O88 0.0759 0.4567 0.2477
O89 0.1723 0.4547 0.3633
S20 0.3557 0.7114 0.2457
O90 0.3198 0.1392 0.4195
Ca12 0.0041 0.0004 0.3496
O91 0.9952 0.1539 0.5992
O92 0.4208 0.0208 0.0975
O93 0.8556 0.1547 0.7421
O94 0.1681 0.8801 0.9638
O95 0.5890 0.9788 0.9149
O96 0.2048 0.1282 0.5355
O97 0.4295 0.3223 0.2442
O98 0.4412 0.5390 0.1429
O99 0.4207 0.8212 0.5969
O100 0.0572 0.4535 0.8636
Na20 0.4799 0.3010 0.4294
O101 0.7762 0.7114 0.2433
Na21 0.0021 0.3709 0.7327
O102 0.0549 0.6473 0.3613
Ta2 0.0041 0.0129 0.6498
S21 0.6735 0.3175 0.0843
O103 0.1125 0.0027 0.3157
S22 0.8138 0.6623 0.9184
O104 0.3532 0.5527 0.2401
Na22 0.6612 0.6512 0.6647
O105 0.5689 0.4548 0.9637
O106 0.0928 0.9941 0.9182
O107 0.5065 0.1993 0.9134
S23 0.6734 0.0294 0.5855
O108 0.2283 0.3450 0.1321
Ca13 0.6652 0.6669 0.5192
O109 0.2736 0.6932 0.5813
S24 0.0144 0.3610 0.9156
S25 0.0002 0.2926 0.2491
O110 0.9910 0.7791 0.7999
O111 0.5837 0.6974 0.0849
Ca14 0.4993 0.9987 0.3491
O112 0.8180 0.1371 0.4172
O113 0.0627 0.4463 0.9675
O114 0.2364 0.3294 0.4195
O115 0.5877 0.4773 0.5841
O116 0.0852 0.0083 0.2032
O117 0.7032 0.2740 0.0321
O118 0.2725 0.8558 0.0824
O119 0.4022 0.9853 0.6950
O120 0.8134 0.1028 0.1378
Na23 0.9893 0.9930 0.5030
O121 0.1630 0.4532 0.4671
Na24 0.0057 0.3429 0.0840
O122 0.5703 0.6828 0.4640
O123 0.9336 0.5091 0.4197
O124 0.6422 0.4656 0.7404
O125 0.7413 0.3238 0.7457
O126 0.8558 0.5853 0.5334
O127 0.5868 0.0048 0.1997
Na25 0.8497 0.0365 0.9301
O128 0.0016 0.1962 0.1975
O129 0.9920 0.1992 0.3014
Na26 0.5029 0.6304 0.2345
Na27 0.8073 0.0053 0.2347
O130 0.1107 0.2023 0.8125
O131 0.9256 0.3112 0.2453
O132 0.8974 0.8156 0.9155
O133 0.5076 0.8149 0.4146
O134 0.9204 0.5790 0.0388
O135 0.3270 0.1083 0.1358
O136 0.0740 0.6460 0.0805
Si7 0.9893 0.3355 0.5869
O137 0.7749 0.8517 0.7425
S26 0.8163 0.9737 0.4150
Ca15 0.8420 0.3395 0.4930
Ta3 0.0082 0.0017 0.1502
Ta4 0.5024 0.0083 0.6516
O138 0.4971 0.8101 0.7001
O139 0.2045 0.2868 0.0301
Na28 0.4809 0.6588 0.9300
Ca16 0.1692 0.6574 0.8112
Ca17 0.6670 0.6641 0.3114
O140 0.3986 0.0109 0.7978
Si8 0.6504 0.9994 0.2547
Ca18 0.5007 0.0039 0.8477
O141 0.6101 0.2170 0.8137
O142 0.0062 0.1916 0.9156
Na29 0.1689 0.7066 0.1634
Si9 0.8382 0.0223 0.0855
O143 0.5779 0.7031 0.7441
S27 0.1757 0.3237 0.0840
O144 0.7255 0.1186 0.6340
Ca19 0.1679 0.6780 0.0175
Na30 0.8357 0.6867 0.0773
Ca20 0.3295 0.3261 0.1812

- total energy (eV per cell) = -1499.4
- DFT formation energy (eV/atom) = -2.556

---

Record 2
This record from the Materials Project database describes Na2CaTiSiS2O12 after structural relaxation. The functional is PBE.

abc: 9.1117 9.1490 22.7920
angles: 91.01 90.00 119.87
Atoms (fractional coordinates):
O1 0.2960 0.4714 0.7515
Si1 0.6340 0.9795 0.4238
S1 0.0321 0.6544 0.4154
S2 0.0295 0.3791 0.9164
S3 0.2869 0.3019 0.7487
O2 0.5090 0.8077 0.7586
Ti1 0.6748 0.3456 0.9811
S4 0.6841 0.0453 0.0800
O3 0.8570 0.8248 0.5942
Na1 0.6961 0.0258 0.9106
O4 0.7900 0.9983 0.8150
O5 0.9900 0.7891 0.8024
O6 0.3395 0.4625 0.0758
Ca1 0.3339 0.6605 0.5185
O7 0.1811 0.2049 0.6959
O8 0.5129 0.3687 0.4211
O9 0.9919 0.2093 0.3021
O10 0.5169 0.6315 0.8606
O11 0.1346 0.6773 0.4671
O12 0.4702 0.1197 0.6317
O13 0.8067 0.9657 0.6970
O14 0.2112 0.2017 0.4110
S5 0.0135 0.7133 0.7495
O15 0.0350 0.8216 0.6968
S6 0.6224 0.6544 0.9154
O16 0.8715 0.3351 0.2441
O17 0.1156 0.4805 0.8641
Ca2 0.0151 0.0093 0.8523
Ca3 0.9941 0.0093 0.3523
O18 0.1230 0.4625 0.5758
O19 0.6495 0.1197 0.1317
O20 0.8189 0.0070 0.4170
S7 0.9522 0.3204 0.5825
O21 0.5427 0.6773 0.9671
O22 0.8448 0.0408 0.0856
Na2 0.6509 0.3111 0.3302
O23 0.6895 0.5155 0.5312
O24 0.5390 0.8721 0.0743
O25 0.9905 0.2017 0.9110
O26 0.3383 0.8769 0.9797
S8 0.6998 0.7133 0.2495
O27 0.1881 0.0070 0.9170
O28 0.6633 0.1477 0.7480
Na3 0.6504 0.9644 0.5740
Si2 0.6706 0.6294 0.5891
O29 0.5278 0.7003 0.2537
O30 0.6973 0.1482 0.0262
O31 0.6304 0.1623 0.4259
O32 0.9678 0.8248 0.0942
O33 0.4636 0.3351 0.7441
O34 0.6358 0.4964 0.9204
Si3 0.2976 0.9974 0.2558
Na4 0.3234 0.6476 0.1626
Na5 0.3140 0.9644 0.0740
O35 0.4591 0.2983 0.0297
O36 0.8796 0.3423 0.6362
Ca4 0.6635 0.3260 0.1849
O37 0.7866 0.8216 0.1968
O38 0.1725 0.7003 0.7537
O39 0.7991 0.7891 0.3024
S9 0.0150 0.3019 0.2487
S10 0.3612 0.0453 0.5800
O40 0.2005 0.1552 0.0850
O41 0.1960 0.0408 0.5856
Ti2 0.9779 0.9811 0.6508
S11 0.3681 0.3204 0.0825
O42 0.3649 0.4805 0.3641
O43 0.2084 0.9983 0.3150
O44 0.9547 0.1552 0.5850
Ti3 0.0032 0.9811 0.1508
Si4 0.9588 0.6294 0.0891
O45 0.1535 0.6790 0.0822
O46 0.1236 0.4482 0.9706
O47 0.4628 0.3423 0.1362
O48 0.1755 0.4714 0.2515
O49 0.1590 0.9657 0.1970
O50 0.0101 0.8031 0.4108
O51 0.7931 0.8031 0.9108
Si5 0.6998 0.9974 0.7558
O52 0.4940 0.8623 0.3630
O53 0.5319 0.1623 0.9259
Na6 0.6351 0.6316 0.7428
O54 0.4843 0.1477 0.2480
Na7 0.9964 0.6316 0.2428
O55 0.0238 0.2049 0.1959
O56 0.8662 0.5439 0.7425
O57 0.8392 0.2983 0.5297
O58 0.4510 0.1482 0.5262
O59 0.2174 0.2093 0.8021
O60 0.3332 0.8721 0.5743
Na8 0.3241 0.6476 0.6626
O61 0.5386 0.8769 0.4797
S12 0.3496 0.3791 0.4164
O62 0.3683 0.8623 0.8630
Ti4 0.3526 0.6983 0.3140
Na9 0.0158 0.0009 0.9962
Ca5 0.6625 0.3260 0.6849
Ca6 0.3266 0.6605 0.0185
O63 0.6586 0.5424 0.6495
O64 0.5256 0.6790 0.5822
O65 0.8606 0.4964 0.4204
Na10 0.3297 0.0258 0.4106
O66 0.2987 0.8077 0.2586
O67 0.8558 0.3687 0.9211
Si6 0.3455 0.9795 0.9238
O68 0.6777 0.5439 0.2425
O69 0.8838 0.5424 0.1495
O70 0.8260 0.5155 0.0312
Na11 0.9851 0.0009 0.4962
Ti5 0.3458 0.6983 0.8140
Ti6 0.6708 0.3456 0.4811
Na12 0.6602 0.3111 0.8302
O71 0.1146 0.6315 0.3606
O72 0.3246 0.4482 0.4706

- total energy (eV per cell) = -756.5
- DFT formation energy (eV/atom) = -2.564

---

no.,total energy after the MP2020 corrections (eV/f.u.)
1,-1598.3
2,-134.3